Eu2InFeO6: relaxed, PBE with a Hubbard U.

Lattice parameters (Å, degrees): 5.692 5.692 5.692 60.00 60.00 60.00
Fractional positions:
Eu  0.250  0.250  0.250
Eu  0.750  0.750  0.750
In  0.500  0.500  0.500
Fe  0.000  0.000  0.000
O  0.760  0.240  0.240
O  0.240  0.760  0.760
O  0.760  0.240  0.760
O  0.240  0.760  0.240
O  0.760  0.760  0.240
O  0.240  0.240  0.760

## Properties
Size of the total moment = 17.000 Bohr magnetons per cell
Space group = Fm-3m
Final energy = -78.1 eV per cell

KEuFe4O12: relaxed, PBE with a Hubbard U.

Lattice parameters (Å, degrees): 5.412 5.412 7.626 90.00 90.00 89.44
Fractional positions:
K  0.989  0.989  0.500
Eu  0.510  0.510  0.000
Fe  0.499  0.001  0.741
Fe  0.499  0.001  0.259
Fe  0.001  0.499  0.259
Fe  0.001  0.499  0.741
O  0.771  0.229  0.773
O  0.229  0.771  0.773
O  0.229  0.771  0.227
O  0.771  0.229  0.227
O  0.699  0.699  0.726
O  0.282  0.282  0.787
O  0.282  0.282  0.213
O  0.699  0.699  0.274
O  0.538  0.970  0.000
O  0.478  0.047  0.500
O  0.970  0.538  0.000
O  0.047  0.478  0.500

## Properties
Size of the total moment = 18.000 Bohr magnetons per cell
Space group = Amm2
Final energy = -110.3 eV per cell

KEuFeSnO6: relaxed, PBE with a Hubbard U.

Lattice parameters (Å, degrees): 5.676 5.676 5.676 60.00 60.00 60.00
Fractional positions:
K  0.250  0.250  0.250
Eu  0.750  0.750  0.750
Fe  0.000  0.000  0.000
Sn  0.500  0.500  0.500
O  0.755  0.245  0.245
O  0.245  0.755  0.755
O  0.755  0.245  0.755
O  0.245  0.755  0.245
O  0.755  0.755  0.245
O  0.245  0.245  0.755

## Properties
Size of the total moment = 10.000 Bohr magnetons per cell
Space group = F-43m
Final energy = -67.2 eV per cell

no.,formation enthalpy at 0 K (eV/atom)
1,-2.310
2,-1.272
3,-2.002